DFT (GGA+U) results for Li6Mn5FeB6O18 after structural relaxation.

Results
As for the formation energy: -2481 meV/atom. Its space-group type is No. 6.

Cell lengths 12.7397, 8.2649, 8.2751 Å; angles 60.05, 90.00, 90.00 degrees
With the nearest neighbours (Å) after each atom.
Fractional positions:
Li (0.5000, 0.9824, 0.3013)  4 O 1.97-2.01
Li (0.2498, 0.9821, 0.3015)  4 O 1.98-2.02
Li (0.0000, 0.9818, 0.3020)  4 O 2.00-2.02
Li (0.7502, 0.9821, 0.3015)  4 O 1.98-2.02
Li (0.5000, 0.3014, 0.7159)  4 O 1.97-2.01
Li (0.7502, 0.3010, 0.7162)  4 O 1.97-2.02
Li (0.0000, 0.3016, 0.7161)  4 O 1.97-2.02
Li (0.2498, 0.3010, 0.7162)  4 O 1.97-2.02
Li (0.7502, 0.7155, 0.9834)  4 O 1.98-2.01
Li (0.0000, 0.7150, 0.9838)  4 O 1.98-2.02
Li (0.5000, 0.7161, 0.9829)  4 O 1.97-2.01
Li (0.2498, 0.7155, 0.9834)  4 O 1.98-2.01
Mn (0.3751, 0.3593, 0.0120)  5 O 2.11-2.19
Mn (0.8750, 0.3602, 0.0118)  5 O 2.11-2.19
Mn (0.6249, 0.3593, 0.0120)  5 O 2.11-2.19
Mn (0.1250, 0.3602, 0.0118)  5 O 2.11-2.19
Mn (0.8750, 0.0120, 0.6282)  5 O 2.11-2.19
Mn (0.3750, 0.0117, 0.6289)  5 O 2.11-2.20
Mn (0.6250, 0.0117, 0.6289)  5 O 2.11-2.20
Mn (0.1250, 0.0120, 0.6282)  5 O 2.11-2.19
Mn (0.3738, 0.6289, 0.3592)  5 O 2.11-2.20
Mn (0.6262, 0.6289, 0.3592)  5 O 2.11-2.20
Fe (0.8757, 0.6327, 0.3594)  5 O 2.04-2.19
Fe (0.1243, 0.6327, 0.3594)  5 O 2.04-2.19
B (0.3750, 0.0001, 0.9999)  3 O 1.40
B (0.6250, 0.0001, 0.9999)  3 O 1.40
B (0.8751, 0.9978, 0.0005)  3 O 1.39-1.40
B (0.1249, 0.9978, 0.0005)  3 O 1.39-1.40
B (0.2488, 0.6666, 0.6656)  3 O 1.39
B (0.5000, 0.6666, 0.6665)  3 O 1.39
B (0.7512, 0.6666, 0.6656)  3 O 1.39
B (0.0000, 0.6671, 0.6645)  3 O 1.39
B (0.5000, 0.3335, 0.3334)  3 O 1.39
B (0.7507, 0.3343, 0.3336)  3 O 1.39-1.40
B (0.0000, 0.3356, 0.3342)  3 O 1.39-1.40
B (0.2493, 0.3343, 0.3336)  3 O 1.39-1.40
O (0.6251, 0.9225, 0.1933)  1 B 1.40
O (0.3749, 0.9225, 0.1933)  1 B 1.40
O (0.8755, 0.9167, 0.1949)  1 B 1.40
O (0.1245, 0.9167, 0.1949)  1 B 1.40
O (0.2468, 0.5805, 0.5578)  1 B 1.39
O (0.5000, 0.5805, 0.5590)  1 B 1.39
O (0.7532, 0.5805, 0.5578)  1 B 1.39
O (0.0000, 0.5819, 0.5561)  1 B 1.39
O (0.3749, 0.1937, 0.8841)  1 B 1.40
O (0.8750, 0.1914, 0.8874)  1 B 1.39
O (0.1250, 0.1914, 0.8874)  1 B 1.39
O (0.6251, 0.1937, 0.8841)  1 B 1.40
O (0.2501, 0.8601, 0.5798)  1 B 1.39
O (0.0000, 0.8606, 0.5798)  1 B 1.39
O (0.5000, 0.8602, 0.5804)  1 B 1.39
O (0.7499, 0.8601, 0.5798)  1 B 1.39
O (0.2500, 0.5592, 0.8590)  1 B 1.39
O (0.5000, 0.5595, 0.8600)  1 B 1.39
O (0.0000, 0.5589, 0.8580)  1 B 1.39
O (0.7500, 0.5592, 0.8590)  1 B 1.39
O (0.5000, 0.2506, 0.2223)  1 B 1.39
O (0.0000, 0.2533, 0.2221)  1 B 1.40
O (0.7501, 0.2516, 0.2222)  1 B 1.40
O (0.2499, 0.2516, 0.2222)  1 B 1.40
O (0.3749, 0.8843, 0.9221)  1 B 1.40
O (0.6251, 0.8843, 0.9221)  1 B 1.40
O (0.8751, 0.8838, 0.9211)  1 B 1.39
O (0.1249, 0.8838, 0.9211)  1 B 1.39
O (0.5000, 0.5273, 0.2508)  1 B 1.39
O (0.7515, 0.5278, 0.2521)  1 B 1.39
O (0.0000, 0.5289, 0.2539)  1 B 1.39
O (0.2485, 0.5278, 0.2521)  1 B 1.39
O (0.7502, 0.2223, 0.5272)  1 B 1.39
O (0.5000, 0.2224, 0.5270)  1 B 1.39
O (0.0000, 0.2222, 0.5277)  1 B 1.39
O (0.2498, 0.2223, 0.5272)  1 B 1.39